Model w:
A plane-wave DFT calculation with GGA+U was carried out for a relaxed structure of Sr3Nb2CoO9.

The magnetic moment is 3.00 μB/f.u.

```
Sr3Nb2CoO9
1.0
5.546 0.000 0.000
0.000 11.527 0.000
0.000 7.611 14.966
O Sr Co Nb
36 12 4 8
direct
0.745 0.462 0.432
0.949 0.678 0.790
0.772 0.007 0.915
0.705 0.051 0.569
0.295 0.949 0.431
0.272 0.993 0.585
0.763 0.057 0.233
0.051 0.322 0.210
0.263 0.943 0.267
0.246 0.495 0.416
0.754 0.505 0.584
0.237 0.943 0.767
0.746 0.505 0.084
0.254 0.495 0.916
0.961 0.692 0.431
0.737 0.057 0.733
0.728 0.007 0.415
0.255 0.538 0.568
0.792 0.470 0.269
0.556 0.711 0.609
0.551 0.678 0.290
0.292 0.530 0.231
0.245 0.538 0.068
0.205 0.949 0.931
0.208 0.530 0.731
0.228 0.993 0.085
0.539 0.692 0.931
0.944 0.711 0.109
0.449 0.322 0.710
0.755 0.462 0.932
0.708 0.470 0.769
0.461 0.308 0.069
0.444 0.289 0.391
0.795 0.051 0.069
0.039 0.308 0.569
0.056 0.289 0.891
0.508 0.677 0.436
0.992 0.677 0.936
0.991 0.256 0.439
0.491 0.744 0.061
0.996 0.666 0.290
0.496 0.334 0.210
0.009 0.744 0.561
0.492 0.323 0.564
0.509 0.256 0.939
0.504 0.666 0.790
0.004 0.334 0.710
0.008 0.323 0.064
0.500 0.000 0.500
0.000 0.000 0.000
0.500 0.500 0.000
0.000 0.500 0.500
0.993 0.004 0.826
0.497 0.515 0.662
0.003 0.515 0.162
0.507 0.004 0.326
0.007 0.996 0.174
0.997 0.485 0.838
0.503 0.485 0.338
0.493 0.996 0.674
```



Model x:
A plane-wave DFT calculation with GGA+U was carried out for a relaxed structure of Sr3Nb2CoO9.

The magnetic moment is 2.00 μB/f.u.

```
Sr3Nb2CoO9
1.0
-2.359 3.808 -3.488
-11.542 -6.896 0.279
-9.709 4.735 11.737
O Sr Nb Co
36 12 8 4
direct
0.697 0.404 0.107
0.281 0.738 0.242
0.030 0.442 0.226
0.452 0.473 0.630
0.970 0.897 0.441
0.551 0.723 0.615
0.014 0.207 0.930
0.048 0.973 0.130
0.191 0.425 0.062
0.952 0.027 0.870
0.986 0.793 0.070
0.449 0.277 0.385
0.194 0.762 0.724
0.548 0.527 0.370
0.514 0.293 0.570
0.197 0.096 0.393
0.051 0.777 0.885
0.306 0.262 0.224
0.030 0.103 0.559
0.803 0.904 0.607
0.530 0.397 0.941
0.781 0.762 0.258
0.694 0.738 0.776
0.486 0.707 0.430
0.309 0.925 0.562
0.806 0.238 0.276
0.219 0.238 0.742
0.530 0.058 0.274
0.809 0.575 0.938
0.303 0.596 0.893
0.470 0.603 0.059
0.691 0.075 0.438
0.970 0.558 0.774
0.949 0.223 0.115
0.719 0.262 0.758
0.470 0.942 0.726
0.518 0.562 0.769
0.018 0.938 0.731
0.482 0.438 0.231
0.003 0.260 0.405
0.020 0.603 0.062
0.980 0.397 0.938
0.982 0.062 0.269
0.480 0.103 0.562
0.503 0.240 0.095
0.497 0.760 0.905
0.520 0.897 0.438
0.997 0.740 0.595
0.973 0.177 0.830
0.027 0.823 0.170
0.473 0.323 0.670
0.527 0.677 0.330
0.508 0.837 0.665
0.008 0.663 0.835
0.492 0.163 0.335
0.992 0.337 0.165
0.500 0.500 0.000
0.500 0.500 0.500
0.000 0.000 0.500
0.000 0.000 0.000
```



Stability order, top to bottom: model x, model w